Entry 1:
Na3Cr2P3O12: relaxed, PBE+U.

The structure in extended XYZ format:
```
40
Lattice="4.4017 7.6022 0.0000 -4.4017 7.6022 0.0000 0.0000 5.0804 7.2979" Properties=species:S:1:pos:R:3 pbc="T T T"
O -3.1709 10.1242 5.3620
O 1.1453 12.7939 4.1767
O 1.5564 15.0336 5.3647
O -1.5564 12.4934 1.7158
O 0.6294 6.4758 1.7217
O -3.1709 12.7009 5.5848
O 0.4916 16.2286 3.0855
O 0.6294 11.2688 1.9272
O 3.1709 10.1607 1.9358
O 1.5926 9.8325 4.2561
O 1.1453 10.0311 6.7701
O 0.4916 1.5160 0.5634
O -1.5926 7.2924 0.6071
O -1.5926 10.4523 3.0418
O -0.6294 13.8090 5.5762
O -1.1453 10.2537 0.5277
O -0.6294 9.0160 5.3706
O -1.1453 7.4910 3.1212
O 1.5564 7.7914 5.5821
O 3.1709 7.5840 1.7131
O 1.5926 12.9925 6.6907
O -0.4916 18.7688 6.7345
O -1.5564 5.2513 1.9332
O -0.4916 4.0562 4.2123
P -0.9019 11.0645 1.8124
P -4.0241 11.4125 5.4734
P 0.9019 13.6047 5.4613
P 0.9019 9.2203 5.4855
P -0.9019 6.6802 1.8365
P 4.0241 8.8723 1.8245
Na 0.6018 13.6890 1.8290
Na -0.6018 16.2292 5.4780
Na 2.2008 6.3413 3.6489
Na 0.6018 4.0556 1.8199
Na -2.2008 3.8011 0.0000
Na -0.6018 6.5958 5.4688
Cr -2.1799 13.9273 6.8760
Cr 2.1799 11.3871 3.2270
Cr 2.1799 6.3575 0.4219
Cr -2.1799 8.8977 4.0708
```

Total magnetic moment (Bohr magnetons per cell): 12.00
Symmetry: C2/c (15)
ρ (g/cm³): 3.11
Energy relative to the elements (meV per atom): -2611
E (eV/cell): -277.75

Entry 2:
Na7Cr4P6O24: relaxed, PBE+U.

The structure in extended XYZ format:
```
82
Lattice="8.8365 0.0000 0.0000 0.0000 9.0293 0.0000 0.0000 0.0361 12.8820" Properties=species:S:1:pos:R:3 pbc="T T T"
O 7.2717 2.3061 3.2488
O 1.1479 8.0867 5.6047
O 2.7359 6.3343 7.0730
O 5.6686 8.7416 8.5789
O 5.6686 0.3237 4.3031
O 3.1747 4.2598 8.5492
O 5.9321 2.1042 9.3741
O 1.7394 7.1223 0.6329
O 1.3200 0.2156 2.0515
O 0.5964 5.3398 5.4233
O 7.2717 6.7593 9.6331
O 0.5311 2.9250 1.9048
O 3.1747 4.8055 4.3328
O 7.6407 5.4453 7.2713
O 1.7394 1.9431 12.2490
O 7.6332 4.3849 10.5216
O 3.8128 1.3693 8.1946
O 3.8126 0.9255 0.9087
O 3.1206 5.3893 11.9404
O 2.7359 2.7311 5.8090
O 5.5467 0.8413 11.8917
O 7.0565 2.6297 0.8733
O 6.0692 1.6867 6.9626
O 1.3200 8.8498 10.8305
O 6.0692 7.3787 5.9193
O 5.9321 6.9612 3.5078
O 4.8990 5.3791 0.9448
O 7.0565 6.4357 12.0087
O 0.5311 6.1404 10.9772
O 1.6336 6.9413 3.1004
O 3.1206 3.6761 0.9415
O 8.2688 0.7704 5.3757
O 5.5467 8.2241 0.9903
O 2.9207 6.6207 9.5454
O 8.3613 1.5839 11.0407
O 1.1479 0.9787 7.2773
O 4.9746 3.0620 4.6306
O 7.6332 4.6804 2.3603
O 7.6407 3.6201 5.6107
O 0.5964 3.7255 7.4586
O 3.8128 7.6961 4.6874
O 4.8990 3.6863 11.9372
O 8.3613 7.4815 1.8413
O 8.2688 8.2949 7.5063
O 4.9746 6.0034 8.2514
O 2.9207 2.4447 3.3366
O 1.6336 2.1241 9.7816
O 3.8126 8.1399 11.9733
Na 1.6191 4.7625 2.3957
Na 3.9094 6.9051 2.2839
Na 8.2200 2.2672 8.7611
Na 2.3277 8.5827 8.5981
Na 7.2368 0.3068 2.1557
Na 6.1440 4.2170 8.6384
Na 8.2200 6.7982 4.1209
Na 3.9094 2.1603 10.5981
Na 2.3277 0.4827 4.2838
Na 5.0596 2.0821 2.3897
Na 1.6191 4.3029 10.4863
Na 5.0596 6.9832 10.4923
Na 6.1440 4.8484 4.2435
Na 7.2368 8.7586 10.7263
P 7.8493 3.1678 2.0730
P 5.3701 1.2049 8.2399
P 7.8493 5.8976 10.8090
P 4.6844 0.0000 0.0000
P 5.3701 7.8605 4.6421
P 3.4384 5.7928 8.3283
P 8.5711 4.5327 6.4410
P 1.0471 1.3366 11.0153
P 1.0471 7.7288 1.8667
P 0.2507 0.0180 6.4410
P 3.4384 3.2726 4.5537
P 4.0423 4.5147 0.0000
Cr 6.6752 7.1539 7.7607
Cr 6.7165 6.3127 1.2126
Cr 2.2603 2.6189 7.6885
Cr 6.6752 1.9115 5.1212
Cr 6.7165 2.7527 11.6694
Cr 2.2603 6.4465 5.1934
Cr 2.1637 1.9452 1.2936
Cr 2.1637 7.1202 11.5884
```

Total magnetic moment (Bohr magnetons per cell): 26.00
Symmetry: P2 (3)
ρ (g/cm³): 3.03
Energy relative to the elements (meV per atom): -2551
E (eV/cell): -558.39

Entry 3:
Na7Cr4P9O32: relaxed, PBE+U.

The structure in extended XYZ format:
```
104
Lattice="-6.3728 7.6882 10.2310 4.1635 -2.2811 4.3076 8.8201 10.9200 -2.7120" Properties=species:S:1:pos:R:3 pbc="T T T"
O 1.0721 9.6382 10.0900
O 6.4860 9.2945 2.8691
O -0.2559 5.4457 6.9365
O 5.5653 7.5115 7.5745
O 7.4885 10.4966 4.8384
O 4.9086 14.0047 11.2659
O 4.4660 7.9830 3.4589
O 1.3788 4.3392 2.5927
O 2.2050 0.6329 4.2189
O 6.8694 13.4401 1.2545
O 0.9099 8.5094 7.7668
O 0.1553 1.9832 2.1411
O -1.1654 6.9628 12.6348
O 8.5432 8.2870 4.0757
O 1.7871 7.3108 2.8002
O 2.8821 11.1056 4.8259
O 0.5370 0.4013 0.2708
O 5.2738 17.0215 10.3360
O 9.2881 7.9601 1.0028
O 2.5803 13.3636 10.3444
O -1.5862 4.4884 12.7034
O 5.4735 14.4061 5.8937
O 11.1955 9.1137 2.9329
O -2.8345 8.1911 10.1298
O -2.1186 5.9588 9.2305
O 0.4843 12.3080 9.0070
O 2.5550 8.6023 5.2519
O 9.1085 12.2647 6.6839
O 0.6392 10.2716 5.5816
O 2.9706 11.0273 8.5026
O -0.4259 7.4772 5.3509
O 6.7139 6.8712 5.4636
O -0.6895 5.2077 4.4005
O 7.3868 13.2202 8.1903
O 3.0995 2.9333 3.9147
O 4.2311 6.3056 5.8625
O -0.3977 7.6629 9.7964
O 1.6088 5.8850 5.3701
O 6.5870 6.7486 2.6373
O 3.1528 15.0772 6.7921
O 2.0587 7.3066 9.5999
O 3.6687 5.2654 3.2783
O 2.7085 2.1540 6.2377
O 0.7310 2.6642 4.8354
O 4.9945 14.7308 8.4124
O 4.0257 12.7733 7.0862
O 8.7010 10.4025 2.6417
O 5.2319 11.9879 9.2340
O 5.3019 8.1159 1.0231
O 5.0303 10.4673 7.1830
O -1.9241 8.0301 7.7377
O 8.9384 10.3532 -0.1877
O -1.9900 12.4776 9.1254
O 9.4281 5.9648 2.6365
O -1.7626 3.0450 6.4670
O -0.4328 3.6880 8.9725
O -1.0285 10.5722 7.8487
O 5.4734 12.1424 2.8888
O 7.1556 3.9850 1.5983
O 7.2994 4.4535 4.1133
O -3.1897 5.5304 6.6542
O 3.4289 10.6990 11.2657
O 6.0301 2.4449 3.3060
O 3.5379 3.4984 1.5013
P 4.3686 11.5086 8.0634
P 5.6574 6.3712 6.4257
P -1.9053 7.4844 9.1637
P 7.8837 9.6056 3.6782
P 1.9284 9.9272 4.8091
P -0.1943 2.7120 10.1296
P 5.6469 7.9502 2.5071
P 2.8757 4.0542 2.7462
P 0.0594 6.0041 5.5145
P 4.4726 14.3302 7.0271
P -2.0449 5.8713 13.2094
P 6.1601 13.4665 2.6238
P 0.9834 8.3533 9.2883
P 8.5244 11.5409 -1.0631
P -0.7659 12.0301 8.1612
P 9.7375 6.4791 1.1971
P 2.1214 2.0171 4.8264
P 7.1805 3.3861 3.0070
Cr -0.3103 3.5247 3.3512
Cr -0.6217 9.0617 6.5905
Cr -1.8544 4.5600 7.7991
Cr 7.9956 6.3446 4.0110
Cr 1.9264 11.4603 10.1750
Cr 3.0234 6.8706 4.3184
Cr 6.1564 13.7249 9.7031
Cr 10.1256 9.7639 1.3619
Na -1.5621 9.1549 11.8479
Na 7.3140 10.1834 7.1745
Na 2.3032 2.5167 -0.1744
Na 1.2833 15.3070 9.2736
Na -4.2462 6.2424 10.7903
Na 5.0284 3.6654 5.2368
Na 0.1214 5.5893 10.9975
Na 2.1418 4.8633 7.6675
Na 1.6688 12.5574 6.4512
Na 5.2324 5.2908 1.1354
Na 8.8520 12.5035 4.2552
Na 3.3833 8.6176 7.4726
Na 5.1635 10.8027 4.8101
Na 6.4010 10.8444 0.9711
```

Total magnetic moment (Bohr magnetons per cell): 24.00
Symmetry: P2_1 (4)
ρ (g/cm³): 2.94
Energy relative to the elements (meV per atom): -2644
E (eV/cell): -724.86

Entry 4:
Na4Cr2P4O15: relaxed, PBE+U.

The structure in extended XYZ format:
```
50
Lattice="-8.2663 -5.1813 -1.5443 4.2287 -5.7739 -3.2635 4.1696 -8.1850 5.1427" Properties=species:S:1:pos:R:3 pbc="T T T"
O 4.0257 -12.9458 2.5198
O -1.2811 -11.4693 -2.3103
O -3.8037 -11.0330 -2.0963
O -3.4120 -8.7692 -1.0785
O -0.9656 -12.6350 1.5605
O 2.1143 -2.8869 -1.6317
O -5.2172 -10.3276 -0.1263
O -0.7451 -7.2332 -2.8591
O 0.0660 -9.5701 0.1675
O -7.1654 -6.3276 -0.9031
O -1.6508 -8.2703 2.3090
O 1.4130 -7.6708 2.6452
O -1.3135 -5.9980 -0.7312
O 3.5440 -10.3710 1.4134
O 1.7828 -10.8698 -1.9741
O 2.8757 -8.2674 0.1231
O 5.3492 -8.8125 0.4613
O 0.0562 -13.5253 -1.0191
O 7.2974 -12.8125 1.2380
O -3.8937 -6.1943 -2.1849
O 0.0758 -5.6148 1.3540
O 1.0976 -6.5052 -1.2255
O -2.7437 -10.8727 0.2118
O -2.3648 -9.6435 -3.6532
O 1.4455 -13.1421 1.0662
O 0.8735 -15.5181 0.2741
O 3.9357 -8.1071 2.4313
O 2.4968 -9.4966 3.9882
O 0.8771 -11.9069 3.1941
O -0.7415 -3.6220 0.0609
P -2.5380 -11.0897 -3.1331
P 2.6699 -8.0504 3.4680
P -3.8136 -10.2112 -0.6766
P -1.1272 -5.0312 0.5768
P -0.2244 -6.1434 -1.9493
P 0.3564 -12.9967 2.2842
P 1.2592 -14.1089 -0.2418
P 3.9456 -8.9289 1.0116
Na -3.5015 -6.8615 0.1567
Na 1.5527 -3.4185 0.9159
Na 3.0599 -7.2389 -2.1108
Na 3.6335 -12.2786 0.1783
Na 0.0409 -9.4063 -2.4897
Na -2.9279 -11.9012 2.4457
Na 0.0911 -9.7338 2.8247
Na -1.4207 -15.7216 -0.5809
Cr 1.3125 -7.1237 0.6994
Cr -1.1805 -12.0164 -0.3644
Cr 3.4973 -11.1535 3.2894
Cr -3.3653 -7.9866 -2.9544
```

Total magnetic moment (Bohr magnetons per cell): 12.01
Symmetry: P2_1/c (14)
ρ (g/cm³): 2.79
Energy relative to the elements (meV per atom): -2445
E (eV/cell): -334.59

Entry 5:
RbNaCr2O7: relaxed, PBE+U.

The structure in extended XYZ format:
```
88
Lattice="11.2338 0.0000 0.0000 0.0000 10.1307 0.0000 0.0000 0.8006 13.0976" Properties=species:S:1:pos:R:3 pbc="T T T"
Cr 8.6456 10.2661 7.3420
Cr 7.1397 6.4402 4.3989
Cr 1.1655 6.3458 2.0685
Cr 3.0287 5.7305 5.7556
Cr 10.1560 8.3542 13.0532
Cr 1.0778 2.5770 0.0444
Cr 4.4514 1.2804 2.0685
Cr 9.7111 1.3748 4.3989
Cr 4.5391 7.6423 0.0444
Cr 6.7824 9.6508 11.0291
Cr 10.0683 4.5855 11.0291
Cr 4.0942 4.4911 8.6987
Cr 6.6947 3.2889 13.0532
Cr 2.5882 0.6651 5.7556
Cr 1.5228 9.5564 8.6987
Cr 8.2051 5.2008 7.3420
O 1.5695 7.8225 2.6534
O 3.0917 9.0299 12.6822
O 2.5665 2.3045 5.7118
O 1.4932 10.1991 7.0325
O 7.6343 5.8037 8.7563
O 1.0566 0.6363 9.7083
O 10.3551 9.0528 0.5784
O 7.1269 0.6564 7.0852
O 4.1069 10.2748 6.0124
O 8.1834 3.5614 7.3858
O 2.4781 5.4643 1.6854
O 10.1772 10.2949 3.3893
O 3.0174 9.0603 9.1197
O 7.1101 5.7975 6.0651
O 2.5995 3.9949 9.1197
O 4.5603 5.7016 9.7083
O 6.0909 7.6915 4.3542
O 3.5995 5.1275 4.3413
O 8.6344 6.9363 3.9779
O 4.7033 7.5871 1.6782
O 6.6735 5.2296 3.3893
O 8.6674 8.6267 7.3858
O 0.2074 6.4758 0.5654
O 4.7382 6.9437 12.5193
O 8.2164 1.8709 3.9779
O 3.0505 7.3698 5.7118
O 9.7238 5.7217 7.0852
O 5.9036 10.4520 9.9058
O 6.5305 3.3442 11.4194
O 5.4095 1.4105 0.5654
O 5.3302 0.4793 3.1918
O 3.1388 0.3990 1.6854
O 10.3202 8.4095 11.4194
O 6.4956 3.9875 0.5784
O 0.4740 8.3050 8.7434
O 8.1421 1.9014 0.4154
O 5.1429 3.2397 8.7434
O 7.1864 8.1740 10.4442
O 4.1237 5.1337 7.0325
O 9.6643 3.1087 10.4442
O 5.8243 9.5207 12.5322
O 11.0264 4.4554 12.5322
O 8.7086 6.9667 0.4154
O 9.2164 0.7384 8.7563
O 0.9136 2.5217 1.6782
O 1.5100 5.2095 6.0124
O 10.7598 2.6262 4.3542
O 4.0474 2.7572 2.6534
O 8.0950 10.5323 11.4122
O 10.9471 5.3866 9.9058
O 8.7557 5.4669 11.4122
O 2.0174 10.1929 4.3413
O 9.7406 0.7321 6.0651
O 0.2867 5.5446 3.1918
O 0.8787 1.8784 12.5193
O 2.5252 3.9645 12.6822
Rb 2.0673 6.6205 11.1499
Rb 9.1665 4.3107 1.9477
Rb 3.5496 1.5552 11.1499
Rb 5.5197 8.1777 7.6363
Rb 5.7141 2.7535 5.4613
Rb 7.6842 9.3761 1.9477
Rb 11.1366 7.8188 5.4613
Rb 0.0972 3.1124 7.6363
Na 7.3719 2.3900 9.4050
Na 4.7596 5.0248 1.9927
Na 9.4789 7.4553 9.4050
Na 10.3765 0.8411 11.1050
Na 6.4742 5.9064 11.1050
Na 1.7549 3.4759 3.6927
Na 0.8573 10.0902 1.9927
Na 3.8620 8.5413 3.6927
```

Total magnetic moment (Bohr magnetons per cell): 0.00
Symmetry: P2_1/c (14)
ρ (g/cm³): 2.89
Energy relative to the elements (meV per atom): -1891
E (eV/cell): -545.94